Li4V3P8O29: optimized geometry, GGA+U.

Lattice parameters (Å, degrees): 9.7231 9.7489 14.1768 89.53 89.24 60.27
Closest atoms and distances in Å follow each position.
Space group P1 (No. 1)
Asymmetric unit:
Li (0.0000, 0.0000, 0.0000)  3 O 1.87-2.00
Li (0.0179, 0.8544, 0.5094)  2 O 1.92-1.97
Li (0.3588, 0.3159, 0.6249)  4 O 1.93-2.15
Li (0.3789, 0.1683, 0.1273)  3 O 1.87-2.01
Li (0.4620, 0.4023, 0.0062)  3 O 1.86-2.08
Li (0.5964, 0.4119, 0.5055)  3 O 1.92-2.06
Li (0.7037, 0.0310, 0.5737)  3 O 1.93-2.15
Li (0.9143, 0.7712, 0.1160)  2 O 1.86-1.94
V (0.1206, 0.0930, 0.8095)  6 O 1.81-1.97
V (0.1221, 0.6538, 0.3159)  6 O 1.86-1.93
V (0.2564, 0.5174, 0.8150)  6 O 1.85-1.99
V (0.2579, 0.0790, 0.3178)  6 O 1.86-2.01
V (0.6877, 0.6523, 0.8132)  6 O 1.84-1.91
V (0.6906, 0.5202, 0.3148)  6 O 1.83-1.95
P (0.0045, 0.8598, 0.7223)  4 O 1.49-1.62
P (0.0082, 0.9972, 0.2184)  4 O 1.48-1.60
P (0.0211, 0.4204, 0.6937)  4 O 1.48-1.60
P (0.0255, 0.4204, 0.1974)  4 O 1.48-1.59
P (0.3529, 0.7546, 0.9324)  4 O 1.49-1.60
P (0.3558, 0.7470, 0.4345)  4 O 1.49-1.60
P (0.3697, 0.1724, 0.9115)  4 O 1.48-1.61
P (0.3718, 0.3121, 0.4047)  4 O 1.50-1.61
P (0.4622, 0.4050, 0.2250)  4 O 1.50-1.62
P (0.4704, 0.0009, 0.7288)  4 O 1.50-1.61
P (0.6044, 0.3977, 0.7188)  4 O 1.49-1.60
P (0.6067, 0.8556, 0.2245)  4 O 1.48-1.61
P (0.7709, 0.7787, 0.4092)  4 O 1.48-1.61
P (0.7732, 0.3116, 0.9016)  4 O 1.48-1.63
P (0.9087, 0.1678, 0.4009)  4 O 1.49-1.63
P (0.9157, 0.7651, 0.9016)  4 O 1.50-1.61
O (0.0139, 0.4370, 0.0932)  1 P 1.48
O (0.0171, 0.2727, 0.7414)  1 P 1.60
O (0.0178, 0.4137, 0.5893)  1 P 1.48
O (0.0249, 0.5707, 0.2411)  1 P 1.59
O (0.0277, 0.8282, 0.2285)  1 P 1.57
O (0.0346, 0.0012, 0.7347)  1 P 1.56
O (0.0665, 0.1689, 0.3926)  1 P 1.54
O (0.0686, 0.6042, 0.8834)  1 P 1.56
O (0.1590, 0.7025, 0.7337)  1 P 1.53
O (0.1671, 0.9905, 0.2419)  1 P 1.55
O (0.1756, 0.2692, 0.2335)  1 P 1.56
O (0.1779, 0.4092, 0.7305)  1 P 1.57
O (0.1997, 0.7575, 0.3910)  1 P 1.60
O (0.2061, 0.9041, 0.8904)  1 P 1.57
O (0.2101, 0.1827, 0.8856)  1 P 1.55
O (0.2141, 0.4683, 0.3897)  1 P 1.55
O (0.3077, 0.0067, 0.7356)  1 P 1.56
O (0.3091, 0.5647, 0.2441)  1 P 1.55
O (0.3435, 0.1706, 0.3985)  1 P 1.54
O (0.3440, 0.7366, 0.5389)  1 P 1.49
O (0.3523, 0.3398, 0.9038)  1 P 1.56
O (0.3533, 0.7535, 0.0372)  1 P 1.49
O (0.3551, 0.6004, 0.8936)  1 P 1.60
O (0.3640, 0.8907, 0.3918)  1 P 1.56
O (0.4324, 0.4239, 0.7293)  1 P 1.57
O (0.4340, 0.0956, 0.0033)  1 P 1.48
O (0.4379, 0.0011, 0.2265)  1 P 1.55
O (0.4497, 0.3295, 0.1361)  1 P 1.50
O (0.4532, 0.3149, 0.4933)  1 P 1.50
O (0.4822, 0.2920, 0.3140)  2 P 1.61-1.62
O (0.4869, 0.0917, 0.6480)  1 P 1.50
O (0.4892, 0.0740, 0.8264)  2 P 1.61
O (0.5026, 0.5923, 0.3942)  1 P 1.58
O (0.5041, 0.7475, 0.8844)  1 P 1.58
O (0.5952, 0.7037, 0.2453)  1 P 1.56
O (0.6018, 0.5556, 0.7360)  1 P 1.55
O (0.6060, 0.8275, 0.7302)  1 P 1.54
O (0.6073, 0.4278, 0.2304)  1 P 1.54
O (0.6743, 0.3195, 0.6272)  1 P 1.49
O (0.6794, 0.3127, 0.9850)  1 P 1.48
O (0.6901, 0.8797, 0.3155)  2 P 1.61
O (0.6948, 0.8760, 0.4940)  1 P 1.48
O (0.6994, 0.2849, 0.8056)  2 P 1.60-1.63
O (0.7005, 0.8427, 0.1388)  1 P 1.48
O (0.7656, 0.6231, 0.3968)  1 P 1.55
O (0.7672, 0.3412, 0.4014)  1 P 1.56
O (0.7701, 0.7431, 0.8988)  1 P 1.53
O (0.7783, 0.4665, 0.8857)  1 P 1.55
O (0.8761, 0.4250, 0.2472)  1 P 1.59
O (0.8757, 0.5672, 0.7403)  1 P 1.57
O (0.8880, 0.0978, 0.3017)  2 P 1.60-1.63
O (0.8928, 0.0749, 0.4797)  1 P 1.49
O (0.8938, 0.8771, 0.8126)  2 P 1.61-1.62
O (0.9162, 0.8786, 0.6336)  1 P 1.49
O (0.9299, 0.8412, 0.9896)  1 P 1.50
O (0.9421, 0.0654, 0.1251)  1 P 1.48
O (0.9444, 0.1678, 0.9018)  1 P 1.56
O (0.9473, 0.7423, 0.4016)  1 P 1.57

**Energy relative to the lowest polymorph listed for this composition**: 0.010 eV/atom
**Formation enthalpy at 0 K**: -2.574 eV/atom
**E**: -7.043 eV/atom

***

MgNiP2O7: optimized geometry, GGA+U.

Lattice parameters (Å, degrees): 4.5337 5.2809 5.3149 104.21 98.19 98.23
Closest atoms and distances in Å follow each position.
Space group P1 (No. 1)
Asymmetric unit:
Mg (0.0000, 0.0000, 0.0000)  5 O 2.06-2.28
Ni (0.9965, 0.6293, 0.3773)  6 O 2.06-2.20
P (0.4029, 0.5286, 0.9153)  4 O 1.53-1.59
P (0.5894, 0.0909, 0.4779)  4 O 1.53-1.59
O (0.2133, 0.3925, 0.0802)  1 P 1.54
O (0.2226, 0.6844, 0.7616)  1 P 1.53
O (0.2829, 0.9357, 0.3096)  1 P 1.54
O (0.4923, 0.2868, 0.7167)  2 P 1.59
O (0.7111, 0.6951, 0.0686)  1 P 1.54
O (0.7709, 0.2478, 0.3261)  1 P 1.53
O (0.7782, 0.9241, 0.6126)  1 P 1.54

**Energy relative to the lowest polymorph listed for this composition**: 0.030 eV/atom
**Formation enthalpy at 0 K**: -2.576 eV/atom
**E**: -6.712 eV/atom

***

BaYCo4O8: optimized geometry, GGA+U.

Lattice parameters (Å, degrees): 10.9529 12.9688 10.2111 90.00 90.00 90.00
Closest atoms and distances in Å follow each position.
Space group Pca2_1 (No. 29)
Asymmetric unit:
Ba (0.0731, 0.1015, 0.0000)  5 O 2.63-2.94
Ba (0.0749, 0.6269, 0.0293)  7 O 2.77-3.03
Y (0.0615, 0.6263, 0.4241)  7 O 2.29-2.44
Y (0.0949, 0.1453, 0.3807)  6 O 2.22-2.44
Co (0.0815, 0.8835, 0.2038)  4 O 1.96-1.98
Co (0.0988, 0.3710, 0.2112)  6 O 1.92-2.04
Co (0.1553, 0.9846, 0.6945)  4 O 1.92-1.97
Co (0.1574, 0.2276, 0.7130)  4 O 1.83-1.88
Co (0.1677, 0.7402, 0.7122)  4 O 1.89-2.02
Co (0.1799, 0.5195, 0.7312)  4 O 1.84-1.89
Co (0.2465, 0.3719, 0.9615)  6 O 1.90-1.97
Co (0.2479, 0.8739, 0.9609)  4 O 1.87-1.93
O (0.9998, 0.2376, 0.7840)  2 Co 1.88-1.98
O (0.0122, 0.7279, 0.7901)  2 Co 1.89-1.94
O (0.0132, 0.0194, 0.2501)  2 Co 1.93-1.97
O (0.0374, 0.5526, 0.6352)  2 Co 1.89-1.95
O (0.0805, 0.8778, 0.0116)  2 Co 1.91-1.96
O (0.1091, 0.2986, 0.0436)  2 Co 1.96-1.97
O (0.1210, 0.4482, 0.3841)  2 Co 1.93-2.04
O (0.1224, 0.4481, 0.8753)  2 Co 1.85-1.90
O (0.1459, 0.2693, 0.5403)  2 Co 1.85-1.95
O (0.1730, 0.9984, 0.5034)  2 Co 1.88-1.97
O (0.1785, 0.7530, 0.5216)  2 Co 1.87-1.96
O (0.2180, 0.4530, 0.1158)  3 Co 1.84-1.94
O (0.2230, 0.2961, 0.3036)  3 Co 1.83-1.92
O (0.2253, 0.6333, 0.2781)  2 Co 1.87-1.94
O (0.2271, 0.1045, 0.7740)  2 Co 1.88-1.92
O (0.2498, 0.8712, 0.2718)  4 Co 1.93-2.02

**Formation enthalpy at 0 K**: -1.956 eV/atom
**E**: -6.553 eV/atom

***

Ba2MgW2O8: optimized geometry, GGA+U.

Lattice parameters (Å, degrees): 4.0054 5.9082 9.4361 90.91 101.45 90.43
Closest atoms and distances in Å follow each position.
Space group P1 (No. 1)
Asymmetric unit:
Ba (0.0000, 0.0000, 0.0000)  7 O 2.72-3.03
Ba (0.3325, 0.5198, 0.6382)  6 O 2.58-2.86
Mg (0.7113, 0.5020, 0.3375)  4 O 1.98-1.99
W (0.5057, 0.5020, 0.0194)  5 O 1.88-2.11
W (0.6534, 0.0042, 0.3495)  6 O 1.92-2.12
O (0.0213, 0.5092, 0.0373)  2 W 1.98-2.04
O (0.1684, 0.9993, 0.3347)  2 W 1.92-2.10
O (0.4376, 0.7463, 0.8789)  1 W 1.96
O (0.4639, 0.2709, 0.8774)  1 W 1.88
O (0.5955, 0.2537, 0.1900)  1 Mg 1.99, 2 W 2.10-2.17
O (0.5971, 0.7419, 0.1904)  1 Mg 1.99, 2 W 2.11-2.12
O (0.7534, 0.7472, 0.4867)  1 Mg 1.99, 1 W 2.00
O (0.7607, 0.2651, 0.4866)  1 Mg 1.98, 1 W 1.99

**Energy relative to the lowest polymorph listed for this composition**: 0.048 eV/atom
**Formation enthalpy at 0 K**: -2.563 eV/atom
**E**: -6.915 eV/atom

***

MoH4O5: optimized geometry, GGA+U.

Lattice parameters (Å, degrees): 4.1355 6.7799 7.5657 90.70 90.45 106.72
Closest atoms and distances in Å follow each position.
Space group P-1 (No. 2)
Asymmetric unit:
Mo (0.0803, 0.4980, 0.2501)  3 O 1.73-1.92
H (0.2604, 0.8760, 0.1497)  1 O 1.03
H (0.2729, 0.8726, 0.6473)  1 O 1.03
H (0.3384, 0.9141, 0.4028)  1 O 1.04
H (0.3420, 0.9138, 0.9028)  1 O 1.04
O (0.0000, 0.5000, 0.0000)  2 Mo 1.92
O (0.0000, 0.5000, 0.5000)  2 Mo 1.92
O (0.1434, 0.7955, 0.2573)  1 H 1.03
O (0.1479, 0.7962, 0.7550)  1 H 1.03
O (0.4984, 0.4973, 0.2489)  1 Mo 1.73
O (0.5000, 0.0000, 0.0000)  2 H 1.04
O (0.5000, 0.0000, 0.5000)  2 H 1.04

**Energy relative to the lowest polymorph listed for this composition**: 0.136 eV/atom
**Formation enthalpy at 0 K**: -1.385 eV/atom
**E**: -5.637 eV/atom

***

FeS2NO8: optimized geometry, GGA+U.

Lattice parameters (Å, degrees): 4.8956 4.8956 16.7167 90.00 90.00 120.00
Closest atoms and distances in Å follow each position.
Space group P6_3 (No. 173)
Asymmetric unit:
Fe (0.3333, 0.6667, 0.0000)  6 O 2.01-2.02
S (0.0000, 0.0000, 0.3990)  4 O 1.46-1.50
S (0.3333, 0.6667, 0.6027)  4 O 1.46-1.49
N (0.3333, 0.6667, 0.2550)  6 O 2.98-3.03
O (0.0000, 0.0000, 0.3115)  1 S 1.46
O (0.0260, 0.6197, 0.5722)  1 S 1.49
O (0.0348, 0.7320, 0.9296)  1 S 1.50
O (0.3333, 0.6667, 0.6900)  1 S 1.46

**Energy relative to the lowest polymorph listed for this composition**: 0.000 eV/atom
**Formation enthalpy at 0 K**: -1.082 eV/atom
**E**: -5.824 eV/atom

***

MgNi2W2O8: optimized geometry, GGA+U.

Lattice parameters (Å, degrees): 5.0681 5.4062 6.0172 81.91 80.02 81.12
Closest atoms and distances in Å follow each position.
Space group P1 (No. 1)
Asymmetric unit:
Mg (0.0000, 0.0000, 0.0000)  4 O 1.92-1.98
Ni (0.2450, 0.3882, 0.0574)  4 O 1.98-2.15
Ni (0.2528, 0.8551, 0.3582)  4 O 2.03-2.15
W (0.6584, 0.7982, 0.7694)  6 O 1.91-2.10
W (0.6845, 0.3467, 0.4859)  5 O 1.89-2.10
O (0.3902, 0.9767, 0.0180)  1 Mg 1.98, 1 W 2.08, 1 Ni 2.09
O (0.4347, 0.4987, 0.2923)  1 W 1.89, 2 Ni 2.04-2.06
O (0.4558, 0.5125, 0.7663)  1 Ni 1.98, 2 W 1.99-2.10
O (0.4745, 0.0185, 0.5323)  2 W 1.99-2.17, 1 Ni 2.03
O (0.8592, 0.1188, 0.7222)  1 Mg 1.92, 2 W 1.98-2.10
O (0.8910, 0.6332, 0.4975)  2 W 2.01-2.07
O (0.9164, 0.6642, 0.9660)  1 W 1.91, 1 Mg 1.97
O (0.9770, 0.1817, 0.2626)  1 Mg 1.95, 1 W 2.01, 2 Ni 2.03-2.15

**Energy relative to the lowest polymorph listed for this composition**: 0.000 eV/atom
**Formation enthalpy at 0 K**: -1.805 eV/atom
**E**: -6.359 eV/atom

***

V3H4O8: optimized geometry, GGA+U.

Lattice parameters (Å, degrees): 21.1578 4.8535 5.5235 90.00 99.83 90.00
Closest atoms and distances in Å follow each position.
Space group Cm (No. 8)
Asymmetric unit:
V (0.0000, 0.0000, 0.0000)  3 O 1.67-1.82
V (0.1617, 0.0000, 0.8604)  4 O 1.75-1.92
V (0.3286, 0.0000, 0.7541)  3 O 1.66-1.81
H (0.1628, 0.0000, 0.3915)  1 O 1.08
H (0.2449, 0.0000, 0.2577)  1 O 0.99
H (0.3618, 0.0000, 0.3055)  1 O 0.99
H (0.4667, 0.5000, 0.4608)  1 O 1.00
O (0.0831, 0.0000, 0.9562)  2 V 1.82-1.83
O (0.1362, 0.0000, 0.5425)  1 H 1.08
O (0.1980, 0.0000, 0.2040)  1 H 0.99
O (0.2486, 0.0000, 0.8180)  2 V 1.79-1.89
O (0.3330, 0.0000, 0.4299)  1 H 0.99
O (0.3858, 0.0000, 0.9997)  1 V 1.66, 1 H 1.84
O (0.4462, 0.5000, 0.7413)  1 V 1.67, 1 H 1.68
O (0.4804, 0.5000, 0.2957)  1 H 1.00

**Energy relative to the lowest polymorph listed for this composition**: 0.211 eV/atom
**Formation enthalpy at 0 K**: -1.574 eV/atom
**E**: -6.228 eV/atom

***

MgFe8O14F2: optimized geometry, GGA+U.

Lattice parameters (Å, degrees): 5.1530 5.1537 12.0877 86.96 86.52 75.95
Closest atoms and distances in Å follow each position.
Space group P1 (No. 1)
Asymmetric unit:
Mg (0.0000, 0.0000, 0.0000)  4 O 1.90-2.06
Fe (0.1888, 0.1831, 0.7229)  5 O 1.82-1.97
Fe (0.2391, 0.1858, 0.4837)  5 O 1.85-1.94
Fe (0.2605, 0.2600, 0.2461)  5 O 1.86-2.07
Fe (0.3499, 0.3436, 0.0120)  4 O 1.87-2.00, 1 F 1.95
Fe (0.7094, 0.6971, 0.1282)  3 O 1.86-1.96
Fe (0.7685, 0.7609, 0.8578)  5 O 1.95-2.15, 1 F 2.02
Fe (0.7985, 0.8054, 0.6170)  4 O 1.92-1.99, 1 F 2.07
Fe (0.8259, 0.8390, 0.3582)  4 O 1.92-1.97, 1 F 2.13
O (0.0310, 0.0298, 0.8394)  1 Fe 1.82, 1 Mg 1.94
O (0.0514, 0.0260, 0.6002)  3 Fe 1.92-1.97
O (0.0771, 0.0566, 0.3676)  3 Fe 1.90-2.07
O (0.1449, 0.1486, 0.1155)  2 Fe 1.89-1.98, 1 Mg 1.90
O (0.3522, 0.3425, 0.6043)  2 Fe 1.87-1.89
O (0.3859, 0.3728, 0.3717)  2 Fe 1.85-1.86
O (0.4758, 0.4723, 0.1346)  2 Fe 1.86-1.87
O (0.5485, 0.9530, 0.7403)  3 Fe 1.95-1.97
O (0.5793, 0.9248, 0.4894)  3 Fe 1.94-1.97
O (0.5808, 0.9645, 0.2404)  3 Fe 1.94-1.96
O (0.6064, 0.9878, 0.9930)  3 Fe 2.00-2.16, 1 Mg 2.05
O (0.9593, 0.5447, 0.7361)  3 Fe 1.96-1.99
O (0.9646, 0.5769, 0.2454)  3 Fe 1.94-1.96
O (0.9956, 0.6035, 0.9924)  3 Fe 2.00-2.13, 1 Mg 2.06
F (0.5221, 0.5117, 0.8895)  2 Fe 1.95-2.02
F (0.9338, 0.5467, 0.4891)  3 Fe 2.07-2.13

**Energy relative to the lowest polymorph listed for this composition**: 0.106 eV/atom
**Formation enthalpy at 0 K**: -1.530 eV/atom
**E**: -6.085 eV/atom

***

KVBiWO6: optimized geometry, GGA+U.

Lattice parameters (Å, degrees): 8.0322 8.0322 8.0322 90.00 90.00 90.00
Closest atoms and distances in Å follow each position.
Space group F-43m (No. 216)
Asymmetric unit:
K (0.0000, 0.0000, 0.0000)  12 O 2.84
V (0.2500, 0.2500, 0.2500)  6 O 2.06
Bi (0.0000, 0.0000, 0.5000)  12 O 2.84
W (0.2500, 0.2500, 0.7500)  6 O 1.95
O (0.0069, 0.2500, 0.7500)  1 W 1.95, 1 V 2.06

**Formation enthalpy at 0 K**: -1.988 eV/atom
**E**: -6.635 eV/atom

***

La2MgFe2O6: optimized geometry, GGA+U.

Lattice parameters (Å, degrees): 5.4701 5.7795 5.9635 108.78 109.10 100.56
Closest atoms and distances in Å follow each position.
Space group P1 (No. 1)
Asymmetric unit:
La (0.0000, 0.0000, 0.0000)  5 O 2.34-2.54
La (0.3536, 0.5077, 0.8094)  6 O 2.37-2.63
Mg (0.6921, 0.7683, 0.3971)  6 O 2.06-2.16
Fe (0.1869, 0.7428, 0.3899)  4 O 2.00-2.22
Fe (0.6814, 0.2650, 0.3829)  4 O 2.06-2.08
O (0.3770, 0.4024, 0.2124)  1 Fe 2.08, 1 Mg 2.14
O (0.4068, 0.8971, 0.1881)  2 Fe 2.06-2.22, 1 Mg 2.07
O (0.5463, 0.8559, 0.6941)  1 Fe 2.00, 1 Mg 2.13
O (0.8263, 0.6422, 0.0896)  1 Fe 2.01, 1 Mg 2.16
O (0.9634, 0.6309, 0.6045)  1 Mg 2.06, 2 Fe 2.07-2.19
O (0.9869, 0.1194, 0.5258)  1 Fe 2.07, 1 Mg 2.07

**Energy relative to the lowest polymorph listed for this composition**: 0.000 eV/atom
**Formation enthalpy at 0 K**: -2.682 eV/atom
**E**: -7.179 eV/atom